Computed, not measured: a relaxed NdO2 crystal at the PBE level of DFT. Values from VASP.

The structure in Quantum ESPRESSO input format:
```
&SYSTEM
  ibrav = 0, nat = 3, ntyp = 2
/
ATOMIC_SPECIES
Nd 144.24 Nd.upf
O 16.00 O.upf
ATOMIC_POSITIONS crystal
Nd 0.000 0.000 0.000
O 0.250 0.250 0.250
O 0.750 0.750 0.750
CELL_PARAMETERS angstrom
-3.493 -1.828 0.756
-0.951 -1.036 3.760
-2.912 1.961 1.947
```

---

Computed, not measured: a relaxed Ti13Si31Ni40 crystal at the PBE level of DFT. Values from VASP.

The structure in Quantum ESPRESSO input format:
```
&SYSTEM
  ibrav = 0, nat = 168, ntyp = 3
/
ATOMIC_SPECIES
Ti 47.87 Ti.upf
Si 28.09 Si.upf
Ni 58.69 Ni.upf
ATOMIC_POSITIONS crystal
Ti 0.000 0.000 0.328
Ti 0.000 0.000 0.672
Ti 0.270 0.000 0.305
Ti 0.730 0.000 0.305
Ti 0.000 0.270 0.305
Ti 0.730 0.730 0.305
Ti 0.270 0.270 0.305
Ti 0.000 0.730 0.305
Ti 0.270 0.000 0.695
Ti 0.730 0.730 0.695
Ti 0.000 0.270 0.695
Ti 0.000 0.730 0.695
Ti 0.270 0.270 0.695
Ti 0.730 0.000 0.695
Ti 0.577 0.154 0.500
Ti 0.423 0.846 0.500
Ti 0.846 0.423 0.500
Ti 0.577 0.423 0.500
Ti 0.423 0.577 0.500
Ti 0.154 0.577 0.500
Ti 0.244 0.488 0.000
Ti 0.756 0.512 0.000
Ti 0.512 0.756 0.000
Ti 0.244 0.756 0.000
Ti 0.756 0.244 0.000
Ti 0.488 0.244 0.000
Si 0.606 0.211 0.182
Si 0.394 0.789 0.182
Si 0.789 0.394 0.182
Si 0.606 0.394 0.182
Si 0.394 0.606 0.182
Si 0.211 0.606 0.182
Si 0.394 0.789 0.818
Si 0.394 0.606 0.818
Si 0.211 0.606 0.818
Si 0.789 0.394 0.818
Si 0.606 0.394 0.818
Si 0.606 0.211 0.818
Si 0.178 0.356 0.234
Si 0.822 0.644 0.234
Si 0.644 0.822 0.234
Si 0.178 0.822 0.234
Si 0.822 0.178 0.234
Si 0.356 0.178 0.234
Si 0.822 0.644 0.766
Si 0.822 0.178 0.766
Si 0.356 0.178 0.766
Si 0.644 0.822 0.766
Si 0.178 0.822 0.766
Si 0.178 0.356 0.766
Si 0.128 0.412 0.500
Si 0.872 0.588 0.500
Si 0.588 0.716 0.500
Si 0.284 0.872 0.500
Si 0.716 0.128 0.500
Si 0.412 0.284 0.500
Si 0.716 0.588 0.500
Si 0.872 0.284 0.500
Si 0.412 0.128 0.500
Si 0.588 0.872 0.500
Si 0.128 0.716 0.500
Si 0.284 0.412 0.500
Si 0.500 0.000 0.260
Si 0.000 0.500 0.260
Si 0.500 0.500 0.260
Si 0.500 0.000 0.740
Si 0.500 0.500 0.740
Si 0.000 0.500 0.740
Si 0.386 0.000 0.000
Si 0.614 0.000 0.000
Si 0.000 0.386 0.000
Si 0.614 0.614 0.000
Si 0.386 0.386 0.000
Si 0.000 0.614 0.000
Si 0.160 0.000 0.000
Si 0.840 0.000 0.000
Si 0.000 0.160 0.000
Si 0.840 0.840 0.000
Si 0.160 0.160 0.000
Si 0.000 0.840 0.000
Si 0.145 0.000 0.500
Si 0.855 0.000 0.500
Si 0.000 0.145 0.500
Si 0.855 0.855 0.500
Si 0.145 0.145 0.500
Si 0.000 0.855 0.500
Si 0.333 0.667 0.500
Si 0.667 0.333 0.500
Ni 0.333 0.667 0.000
Ni 0.667 0.333 0.000
Ni 0.085 0.319 0.000
Ni 0.915 0.681 0.000
Ni 0.681 0.766 0.000
Ni 0.234 0.915 0.000
Ni 0.766 0.085 0.000
Ni 0.319 0.234 0.000
Ni 0.766 0.681 0.000
Ni 0.915 0.234 0.000
Ni 0.319 0.085 0.000
Ni 0.681 0.915 0.000
Ni 0.085 0.766 0.000
Ni 0.234 0.319 0.000
Ni 0.089 0.179 0.239
Ni 0.911 0.821 0.239
Ni 0.821 0.911 0.239
Ni 0.089 0.911 0.239
Ni 0.911 0.089 0.239
Ni 0.179 0.089 0.239
Ni 0.911 0.821 0.761
Ni 0.911 0.089 0.761
Ni 0.179 0.089 0.761
Ni 0.821 0.911 0.761
Ni 0.089 0.911 0.761
Ni 0.089 0.179 0.761
Ni 0.105 0.447 0.224
Ni 0.895 0.553 0.224
Ni 0.553 0.659 0.224
Ni 0.341 0.895 0.224
Ni 0.659 0.105 0.224
Ni 0.447 0.341 0.224
Ni 0.659 0.553 0.776
Ni 0.895 0.341 0.776
Ni 0.447 0.105 0.776
Ni 0.553 0.895 0.776
Ni 0.105 0.659 0.776
Ni 0.341 0.447 0.776
Ni 0.895 0.553 0.776
Ni 0.105 0.447 0.776
Ni 0.447 0.341 0.776
Ni 0.659 0.105 0.776
Ni 0.341 0.895 0.776
Ni 0.553 0.659 0.776
Ni 0.341 0.447 0.224
Ni 0.105 0.659 0.224
Ni 0.553 0.895 0.224
Ni 0.447 0.105 0.224
Ni 0.895 0.341 0.224
Ni 0.659 0.553 0.224
Ni 0.543 0.087 0.000
Ni 0.457 0.913 0.000
Ni 0.913 0.457 0.000
Ni 0.543 0.457 0.000
Ni 0.457 0.543 0.000
Ni 0.087 0.543 0.000
Ni 0.419 0.000 0.500
Ni 0.581 0.000 0.500
Ni 0.000 0.419 0.500
Ni 0.581 0.581 0.500
Ni 0.419 0.419 0.500
Ni 0.000 0.581 0.500
Ni 0.262 0.525 0.345
Ni 0.738 0.475 0.345
Ni 0.475 0.738 0.345
Ni 0.262 0.738 0.345
Ni 0.738 0.262 0.345
Ni 0.525 0.262 0.345
Ni 0.738 0.475 0.655
Ni 0.738 0.262 0.655
Ni 0.525 0.262 0.655
Ni 0.475 0.738 0.655
Ni 0.262 0.738 0.655
Ni 0.262 0.525 0.655
Ni 0.142 0.285 0.500
Ni 0.858 0.715 0.500
Ni 0.715 0.858 0.500
Ni 0.142 0.858 0.500
Ni 0.858 0.142 0.500
Ni 0.285 0.142 0.500
CELL_PARAMETERS angstrom
8.592 -14.881 0.000
8.592 14.881 0.000
0.000 0.000 7.881
```

---

Computed, not measured: a relaxed Mg3Cl2O6 crystal at the PBE level of DFT. Values from VASP.

The structure in Quantum ESPRESSO input format:
```
&SYSTEM
  ibrav = 0, nat = 11, ntyp = 3
/
ATOMIC_SPECIES
Mg 24.30 Mg.upf
Cl 35.45 Cl.upf
O 16.00 O.upf
ATOMIC_POSITIONS crystal
Mg 0.624 0.752 0.260
Mg 0.376 0.248 0.740
Mg 0.000 0.000 0.000
Cl 0.777 0.446 0.282
Cl 0.223 0.554 0.718
O 0.489 0.022 0.129
O 0.511 0.978 0.871
O 0.115 0.770 0.139
O 0.885 0.230 0.861
O 0.085 0.830 0.388
O 0.915 0.170 0.612
CELL_PARAMETERS angstrom
0.000 -3.821 0.000
-7.708 -1.910 0.483
0.661 0.000 -5.948
```

---

| no. | raw total energy (eV/atom) |
| --- | --- |
| 1 | -7.487 |
| 2 | -6.677 |
| 3 | -4.514 |